No. 1
Material: Tl3FeCl5
Method: DFT, PBE
State: optimized geometry

Unit cell a=9.5961 b=9.5961 c=9.5961 alpha=127.19 beta=127.19 gamma=77.93
Closest atoms and distances in Å follow each position.
Element x y z (fractional)
Tl: 0.8355 0.6645 0.5000  8 Cl 3.19-3.54
Cl: 0.9942 0.4942 0.7983  1 Fe 2.29
Fe: 0.2500 0.7500 0.5000  4 Cl 2.29
Cl: 0.5058 0.3041 0.5000  1 Fe 2.29
Tl: 0.6645 0.1645 0.8291  8 Cl 3.19-3.54
Cl: 0.0058 0.5058 0.2017  1 Fe 2.29
Cl: 0.0000 0.0000 0.0000  4 Tl 3.19
Tl: 0.1645 0.3355 0.5000  8 Cl 3.19-3.54
Cl: 0.8041 0.0058 0.5000  1 Fe 2.29
Tl: 0.2500 0.2500 0.0000  10 Cl 3.55-3.73
Cl: 0.5000 0.5000 0.0000  4 Tl 3.19
Cl: 0.6959 0.1959 0.2017  1 Fe 2.29
Tl: 0.7500 0.7500 0.0000  10 Cl 3.55-3.73
Cl: 0.3041 0.8041 0.7983  1 Fe 2.29
Cl: 0.4942 0.6959 0.5000  1 Fe 2.29
Cl: 0.1959 0.9942 0.5000  1 Fe 2.29
Fe: 0.7500 0.2500 0.5000  4 Cl 2.29
Tl: 0.3355 0.8355 0.1709  8 Cl 3.19-3.54

Output
Volume in Å³/cell: 543.4
Formation energy in eV per atom: -1.261
Space-group type: I4/mcm (140)
Uncorrected energy in eV per atom: -3.676

No. 2
Material: Cs3Rh9C19O19
Method: DFT, PBE
State: optimized geometry

Unit cell a=9.5696 b=19.4857 c=19.6782 alpha=90.00 beta=90.00 gamma=90.52
Closest atoms and distances in Å follow each position.
Element x y z (fractional)
C: 0.5846 0.4850 0.8761  1 O 1.19
Rh: 0.6767 0.5043 0.6997  2 C 1.88-1.89
C: 0.6506 0.3659 0.5846  1 O 1.20
O: 0.9723 0.5637 0.4637  1 C 1.17
C: 0.7184 0.0196 0.4937  1 O 1.16
Cs: 0.7857 0.8152 0.4330  6 O 3.18-3.44
Cs: 0.2337 0.6075 0.8311  8 O 3.10-3.44
C: 0.3425 0.4734 0.3926  1 O 1.17
Rh: 0.4226 0.5832 0.1959  3 C 1.94-2.07
Rh: 0.1767 0.0043 0.8003  2 C 1.88-1.89
C: 0.9460 0.4166 0.5763  1 O 1.17
O: 0.3526 0.1345 0.2609  1 C 1.18
C: 0.9429 0.8555 0.6393  1 O 1.18
O: 0.6183 0.3420 0.0280  1 C 1.19
C: 0.9623 0.6286 0.2128  1 O 1.18
C: 0.4534 0.4628 0.7378  1 O 1.20
C: 0.9534 0.9628 0.7622  1 O 1.20
Rh: 0.0839 0.6860 0.1443  3 C 1.88-2.10
Rh: 0.8164 0.3921 0.6434  3 C 1.87-2.03
C: 0.3525 0.6522 0.0307  1 O 1.19
C: 0.1410 0.1365 0.1261  1 O 1.17
Cs: 0.7337 0.1075 0.6689  8 O 3.10-3.44
Rh: 0.0774 0.9168 0.6959  3 C 1.94-2.07
C: 0.9459 0.2229 0.1988  1 O 1.20
C: 0.8422 0.9085 0.2406  1 O 1.17
Rh: 0.5774 0.4168 0.8041  3 C 1.94-2.07
O: 0.4723 0.0637 0.0363  1 C 1.17
Cs: 0.2143 0.1848 0.5670  6 O 3.18-3.44
O: 0.5349 0.5374 0.8955  1 C 1.19
Cs: 0.7143 0.6848 0.9330  6 O 3.18-3.44
O: 0.5155 0.8322 0.0704  1 C 1.17
Rh: 0.4696 0.6235 0.3300  3 C 1.87-2.05
O: 0.6474 0.8655 0.7391  1 C 1.18
O: 0.5024 0.0350 0.8125  1 C 1.19
O: 0.7922 0.5123 0.0435  1 C 1.16
O: 0.4305 0.0535 0.6353  1 C 1.19
O: 0.6491 0.6455 0.7656  1 C 1.17
C: 0.9146 0.4960 0.7073  1 O 1.19
O: 0.8272 0.8558 0.6182  1 C 1.18
O: 0.5618 0.2506 0.1518  1 C 1.19
O: 0.3682 0.6480 0.4739  1 C 1.20
Rh: 0.1381 0.5690 0.2207  3 C 1.96-2.06
C: 0.1475 0.8478 0.5307  1 O 1.19
C: 0.4154 0.5150 0.1239  1 O 1.19
C: 0.9154 0.0150 0.3761  1 O 1.19
O: 0.7078 0.9877 0.5435  1 C 1.16
C: 0.8590 0.8635 0.8739  1 O 1.17
C: 0.5466 0.5372 0.2622  1 O 1.20
O: 0.1423 0.0430 0.9495  1 C 1.17
C: 0.4540 0.2535 0.3803  1 O 1.16
O: 0.6728 0.6442 0.1182  1 C 1.18
C: 0.5571 0.6445 0.1393  1 O 1.18
Rh: 0.5304 0.3765 0.6700  3 C 1.87-2.05
Rh: 0.1209 0.8008 0.6186  3 C 1.87-2.06
O: 0.1491 0.1455 0.7344  1 C 1.17
O: 0.6270 0.7061 0.6020  1 C 1.16
O: 0.0024 0.5350 0.6875  1 C 1.19
Rh: 0.2726 0.6913 0.2503  3 C 1.99-2.10
O: 0.9382 0.2494 0.6518  1 C 1.19
C: 0.6144 0.0028 0.3539  1 O 1.19
C: 0.0846 0.9850 0.6239  1 O 1.19
O: 0.4976 0.9650 0.1875  1 C 1.19
C: 0.4146 0.9960 0.7927  1 O 1.19
O: 0.8509 0.8545 0.2656  1 C 1.17
O: 0.2435 0.1514 0.0968  1 C 1.17
C: 0.4372 0.8622 0.5552  1 O 1.19
Rh: 0.2274 0.8087 0.7503  3 C 1.99-2.10
C: 0.0571 0.1445 0.3607  1 O 1.18
Rh: 0.9226 0.0832 0.3041  3 C 1.94-2.07
Cs: 0.2663 0.8925 0.3311  8 O 3.10-3.44
O: 0.8475 0.9954 0.7656  1 C 1.20
O: 0.4845 0.1678 0.9296  1 C 1.17
C: 0.2816 0.9804 0.5063  1 O 1.16
C: 0.5628 0.1378 0.4448  1 O 1.19
O: 0.5695 0.9465 0.3647  1 C 1.19
C: 0.1575 0.0266 0.8926  1 O 1.17
Rh: 0.7726 0.1913 0.2497  3 C 1.99-2.10
Rh: 0.4161 0.8140 0.6443  3 C 1.88-2.10
Rh: 0.5839 0.1860 0.3557  3 C 1.88-2.10
O: 0.5000 0.8584 0.5030  1 C 1.19
Cs: 0.2687 0.5470 0.5877  6 O 3.12-3.35
C: 0.4623 0.1286 0.2872  1 O 1.18
C: 0.3422 0.4085 0.2594  1 O 1.17
C: 0.8525 0.1522 0.4693  1 O 1.19
Cs: 0.2857 0.3152 0.0670  6 O 3.18-3.44
O: 0.5043 0.7763 0.3116  1 C 1.20
C: 0.4460 0.9166 0.9237  1 O 1.17
C: 0.7816 0.4804 0.9937  1 O 1.16
Rh: 0.6209 0.3008 0.8814  3 C 1.87-2.06
O: 0.6318 0.3520 0.5261  1 C 1.20
C: 0.3590 0.3635 0.6261  1 O 1.17
O: 0.7565 0.8486 0.9032  1 C 1.17
Rh: 0.8791 0.1992 0.3814  3 C 1.87-2.06
C: 0.0540 0.5834 0.4237  1 O 1.17
Rh: 0.9696 0.1235 0.1700  3 C 1.87-2.05
C: 0.4459 0.7229 0.3012  1 O 1.20
C: 0.5541 0.2771 0.6988  1 O 1.20
C: 0.2184 0.5196 0.0063  1 O 1.16
O: 0.1183 0.8420 0.4720  1 C 1.19
O: 0.9976 0.4650 0.3125  1 C 1.19
O: 0.0000 0.6416 0.0030  1 C 1.19
C: 0.3674 0.7966 0.8318  1 O 1.19
O: 0.6423 0.5430 0.5505  1 C 1.17
Cs: 0.7687 0.0470 0.9123  6 O 3.12-3.35
Cs: 0.7313 0.4530 0.4123  6 O 3.12-3.35
O: 0.6525 0.5046 0.2656  1 C 1.20
Rh: 0.7653 0.4265 0.9143  1 C 1.89
O: 0.7154 0.3276 0.3142  1 C 1.21
O: 0.4382 0.7494 0.8482  1 C 1.19
O: 0.0000 0.3584 0.9970  1 C 1.19
O: 0.2154 0.8276 0.1858  1 C 1.21
O: 0.9305 0.5535 0.8647  1 C 1.19
Rh: 0.2653 0.9265 0.5857  1 C 1.89
O: 0.7846 0.1724 0.8142  1 C 1.21
O: 0.0618 0.7506 0.3482  1 C 1.19
O: 0.0155 0.3322 0.4296  1 C 1.17
O: 0.4957 0.2237 0.6884  1 C 1.20
C: 0.1578 0.0915 0.7594  1 O 1.17
O: 0.8577 0.9570 0.0505  1 C 1.17
C: 0.1326 0.7034 0.3318  1 O 1.19
C: 0.6575 0.5266 0.6074  1 O 1.17
C: 0.0628 0.6378 0.0552  1 O 1.19
C: 0.5540 0.0834 0.0763  1 O 1.17
O: 0.0043 0.2763 0.1884  1 C 1.20
O: 0.8817 0.1580 0.5280  1 C 1.19
C: 0.0466 0.0372 0.2378  1 O 1.20
C: 0.2255 0.7659 0.1856  1 O 1.21
C: 0.0541 0.7771 0.8012  1 O 1.20
C: 0.6326 0.2034 0.1682  1 O 1.19
Rh: 0.3164 0.8921 0.8566  3 C 1.87-2.03
Rh: 0.7274 0.3087 0.7497  3 C 1.99-2.10
C: 0.7745 0.2341 0.8144  1 O 1.21
O: 0.1270 0.2061 0.8980  1 C 1.16
C: 0.3856 0.9972 0.6461  1 O 1.19
C: 0.9540 0.7535 0.1197  1 O 1.16
O: 0.0349 0.0374 0.6045  1 C 1.19
O: 0.1318 0.8520 0.9739  1 C 1.20
O: 0.3509 0.3545 0.2344  1 C 1.17
O: 0.2078 0.4877 0.9565  1 C 1.16
C: 0.9616 0.2810 0.4122  1 O 1.17
O: 0.8526 0.6345 0.2391  1 C 1.18
O: 0.2846 0.6724 0.6858  1 C 1.21
O: 0.2565 0.3486 0.5968  1 C 1.17
C: 0.8856 0.4972 0.8539  1 O 1.19
Rh: 0.6836 0.1079 0.1434  3 C 1.87-2.03
C: 0.6410 0.6365 0.3739  1 O 1.17
C: 0.0384 0.7190 0.5878  1 O 1.17
C: 0.8494 0.1341 0.0846  1 O 1.20
O: 0.1525 0.0046 0.2344  1 C 1.20
C: 0.5854 0.0040 0.2073  1 O 1.19
O: 0.8682 0.1480 0.0261  1 C 1.20
Rh: 0.0304 0.8765 0.8300  3 C 1.87-2.05
C: 0.6578 0.5915 0.7406  1 O 1.17
C: 0.7255 0.2659 0.3144  1 O 1.21
O: 0.8730 0.7939 0.1020  1 C 1.16
Cs: 0.7663 0.3925 0.1689  8 O 3.10-3.44
Rh: 0.7347 0.0735 0.4143  1 C 1.89
O: 0.7435 0.6514 0.4032  1 C 1.17
Rh: 0.3619 0.9310 0.7207  3 C 1.96-2.06
C: 0.8674 0.2966 0.6682  1 O 1.19
C: 0.0460 0.2465 0.8803  1 O 1.16
C: 0.1144 0.5028 0.1461  1 O 1.19
C: 0.0854 0.5040 0.2927  1 O 1.19
Rh: 0.8233 0.9957 0.1997  2 C 1.88-1.89
C: 0.0377 0.3714 0.7872  1 O 1.18
Rh: 0.6381 0.0690 0.2793  3 C 1.96-2.06
C: 0.4616 0.7810 0.0878  1 O 1.17
O: 0.1474 0.3655 0.7609  1 C 1.18
Rh: 0.2347 0.5735 0.0857  1 C 1.89
C: 0.6475 0.3478 0.9693  1 O 1.19
C: 0.8425 0.9734 0.1074  1 O 1.17
O: 0.5000 0.1416 0.4970  1 C 1.19
C: 0.5384 0.2190 0.9122  1 O 1.17
O: 0.5277 0.9363 0.9637  1 C 1.17
O: 0.0277 0.4363 0.5363  1 C 1.17
C: 0.9372 0.3622 0.9448  1 O 1.19
C: 0.5377 0.8714 0.7128  1 O 1.18
O: 0.9651 0.9626 0.3955  1 C 1.19
O: 0.2922 0.0123 0.4565  1 C 1.16
C: 0.3494 0.6341 0.4154  1 O 1.20
O: 0.3475 0.4954 0.7344  1 C 1.20
O: 0.9845 0.6678 0.5704  1 C 1.17
Rh: 0.8619 0.4310 0.7793  3 C 1.96-2.06
Rh: 0.3233 0.4957 0.3003  2 C 1.88-1.89
Rh: 0.1836 0.6079 0.3566  3 C 1.87-2.03
C: 0.1506 0.8659 0.9154  1 O 1.20
C: 0.5460 0.7465 0.6197  1 O 1.16
Cs: 0.2313 0.9530 0.0877  6 O 3.12-3.35
O: 0.3577 0.4570 0.4495  1 C 1.17
O: 0.0695 0.4465 0.1353  1 C 1.19
O: 0.3272 0.3558 0.8818  1 C 1.18
C: 0.4429 0.3555 0.8607  1 O 1.18
O: 0.1728 0.1442 0.3818  1 C 1.18
O: 0.3730 0.2939 0.3980  1 C 1.16
C: 0.2745 0.7341 0.6856  1 O 1.21
Rh: 0.9161 0.3140 0.8557  3 C 1.88-2.10
O: 0.4651 0.4626 0.1045  1 C 1.19
Rh: 0.3791 0.6992 0.1186  3 C 1.87-2.06
O: 0.9957 0.7237 0.8116  1 C 1.20
O: 0.3817 0.6580 0.9720  1 C 1.19

Output
Magnetization in μB per cell: 0.0
Volume in Å³/cell: 3669.3
Formation energy in eV per atom: -0.981
Space-group type: P2_1/c (14)
Uncorrected energy in eV per atom: -7.486